# 1
A plane-wave DFT calculation with PBE+U was carried out for a relaxed structure of SrLaCoO4.

Values from the calculation:
**Polymorph energy (0 for the lowest one)**: 0.000 eV/atom

a = 5.453 Å, b = 6.948 Å, c = 5.453 Å
α = 66.91°, β = 89.88°, γ = 89.95°
Fractional coordinates of all 14 atoms:
O (0.258, 0.990, 0.263)
O (0.500, 0.667, 0.667)
O (0.000, 0.666, 0.167)
O (0.758, 0.990, 0.247)
O (0.500, 0.348, 0.326)
O (0.242, 0.990, 0.763)
O (0.742, 0.990, 0.747)
O (0.000, 0.348, 0.826)
Sr (0.000, 0.285, 0.358)
Sr (0.500, 0.285, 0.858)
La (0.000, 0.714, 0.643)
La (0.500, 0.714, 0.143)
Co (0.500, 0.008, 0.496)
Co (0.000, 0.007, 0.996)

=====

# 2
A plane-wave DFT calculation with PBE+U was carried out for a relaxed structure of SrLaCoO4.

Values from the calculation:
**Polymorph energy (0 for the lowest one)**: 0.026 eV/atom

a = 5.436 Å, b = 6.962 Å, c = 10.372 Å
α = 74.83°, β = 89.67°, γ = 90.18°
Fractional coordinates of all 28 atoms:
Sr (0.000, 0.964, 0.320)
Sr (0.501, 0.714, 0.570)
Sr (0.000, 0.465, 0.821)
Sr (0.499, 0.212, 0.073)
O (0.752, 0.870, 0.120)
O (0.002, 0.253, 0.413)
O (0.259, 0.863, 0.126)
O (0.001, 0.763, 0.586)
O (0.761, 0.371, 0.618)
O (0.998, 0.259, 0.086)
O (0.497, 0.497, 0.166)
O (0.742, 0.620, 0.366)
O (0.259, 0.362, 0.627)
O (0.500, 0.013, 0.339)
O (0.248, 0.617, 0.375)
O (0.499, 0.509, 0.839)
O (0.501, 0.996, 0.670)
O (0.000, 0.752, 0.916)
O (0.742, 0.122, 0.869)
O (0.240, 0.113, 0.877)
La (0.498, 0.784, 0.929)
La (0.501, 0.286, 0.428)
La (0.000, 0.535, 0.180)
La (0.000, 0.036, 0.678)
Co (0.001, 0.509, 0.500)
Co (0.998, 0.005, 0.003)
Co (0.499, 0.254, 0.754)
Co (0.500, 0.754, 0.251)

=====

# 3
A plane-wave DFT calculation with PBE+U was carried out for a relaxed structure of SrLaCoO4.

Values from the calculation:
**Polymorph energy (0 for the lowest one)**: 0.017 eV/atom

a = 3.858 Å, b = 3.858 Å, c = 6.866 Å
α = 73.68°, β = 73.68°, γ = 90.00°
Fractional coordinates of all 7 atoms:
La (0.641, 0.641, 0.717)
O (0.006, 0.506, 0.989)
O (0.164, 0.164, 0.673)
O (0.828, 0.828, 0.344)
O (0.506, 0.006, 0.989)
Sr (0.359, 0.359, 0.283)
Co (0.997, 0.997, 0.006)

=====

no.,raw total energy (eV/atom),formation enthalpy at 0 K (meV/atom)
1,-6.93,-2768
2,-6.90,-2742
3,-6.91,-2751